Arrangement a

# LiMnP2O7 | the Materials Project database | r2SCAN | optimized geometry
data_LiMnP2O7
_symmetry_space_group_name_H-M 'P 1'
_symmetry_Int_Tables_number 1
_cell_length_a 6.238
_cell_length_b 9.258
_cell_length_c 10.459
_cell_angle_alpha 113.03
_cell_angle_beta 86.90
_cell_angle_gamma 108.40
loop_
_symmetry_equiv_pos_as_xyz
'x,y,z'
loop_
_atom_site_label
_atom_site_type_symbol
_atom_site_fract_x
_atom_site_fract_y
_atom_site_fract_z
Li1 Li 0.026 0.203 0.497
Li2 Li 0.377 0.936 0.407
Li3 Li 0.531 0.497 0.981
Li4 Li 0.927 0.861 0.527
Mn1 Mn 0.272 0.901 0.780
Mn2 Mn 0.363 0.511 0.744
Mn3 Mn 0.633 0.478 0.245
Mn4 Mn 0.735 0.089 0.216
P1 P 0.880 0.554 0.691
P2 P 0.697 0.192 0.950
P3 P 0.935 0.800 0.216
P4 P 0.565 0.296 0.452
P5 P 0.116 0.434 0.300
P6 P 0.312 0.795 0.043
P7 P 0.081 0.185 0.779
P8 P 0.425 0.700 0.538
O1 O 0.978 0.104 0.631
O2 O 0.920 0.269 0.886
O3 O 0.948 0.503 0.267
O4 O 0.991 0.729 0.699
O5 O 0.056 0.865 0.357
O6 O 0.083 0.713 0.100
O7 O 0.044 0.472 0.711
O8 O 0.008 0.263 0.304
O9 O 0.258 0.877 0.957
O10 O 0.359 0.851 0.557
O11 O 0.215 0.541 0.458
O12 O 0.456 0.922 0.179
O13 O 0.316 0.451 0.212
O14 O 0.122 0.064 0.830
O15 O 0.433 0.695 0.685
O16 O 0.405 0.657 0.963
O17 O 0.298 0.334 0.804
O18 O 0.359 0.312 0.530
O19 O 0.633 0.684 0.463
O20 O 0.709 0.659 0.189
O21 O 0.555 0.299 0.307
O22 O 0.605 0.333 0.025
O23 O 0.902 0.935 0.181
O24 O 0.682 0.536 0.781
O25 O 0.553 0.056 0.819
O26 O 0.630 0.142 0.430
O27 O 0.776 0.453 0.534
O28 O 0.758 0.121 0.045
# - total moment (μB/f.u.) = 4.000
# - space group = P1 (1)

Arrangement b

# LiMnP2O7 | the Materials Project database | r2SCAN | optimized geometry
data_LiMnP2O7
_symmetry_space_group_name_H-M 'P 1'
_symmetry_Int_Tables_number 1
_cell_length_a 8.134
_cell_length_b 6.805
_cell_length_c 9.165
_cell_angle_alpha 69.23
_cell_angle_beta 90.00
_cell_angle_gamma 90.00
loop_
_symmetry_equiv_pos_as_xyz
'x,y,z'
loop_
_atom_site_label
_atom_site_type_symbol
_atom_site_fract_x
_atom_site_fract_y
_atom_site_fract_z
Li1 Li 0.437 0.208 0.916
Li2 Li 0.937 0.792 0.584
Li3 Li 0.063 0.208 0.416
Li4 Li 0.563 0.792 0.084
Mn1 Mn 0.070 0.300 0.825
Mn2 Mn 0.570 0.700 0.675
Mn3 Mn 0.430 0.300 0.325
Mn4 Mn 0.930 0.700 0.175
P1 P 0.726 0.456 0.474
P2 P 0.226 0.544 0.026
P3 P 0.739 0.055 0.764
P4 P 0.239 0.945 0.736
P5 P 0.274 0.544 0.526
P6 P 0.774 0.456 0.974
P7 P 0.261 0.945 0.236
P8 P 0.761 0.055 0.264
O1 O 0.581 0.485 0.362
O2 O 0.888 0.456 0.392
O3 O 0.770 0.621 0.051
O4 O 0.270 0.379 0.449
O5 O 0.419 0.515 0.638
O6 O 0.112 0.544 0.608
O7 O 0.230 0.379 0.949
O8 O 0.730 0.621 0.551
O9 O 0.612 0.456 0.892
O10 O 0.919 0.485 0.862
O11 O 0.311 0.762 0.396
O12 O 0.753 0.863 0.212
O13 O 0.090 0.894 0.192
O14 O 0.388 0.964 0.116
O15 O 0.189 0.762 0.896
O16 O 0.747 0.863 0.712
O17 O 0.888 0.036 0.384
O18 O 0.410 0.894 0.692
O19 O 0.590 0.106 0.308
O20 O 0.112 0.964 0.616
O21 O 0.253 0.137 0.288
O22 O 0.811 0.238 0.104
O23 O 0.612 0.036 0.884
O24 O 0.910 0.106 0.808
O25 O 0.247 0.137 0.788
O26 O 0.689 0.238 0.604
O27 O 0.081 0.515 0.138
O28 O 0.388 0.544 0.108
# - total moment (μB/f.u.) = 4.000
# - space group = P2_1/c (14)

What should be chosen as the least stable of them? Choose arrangement a.

Arrangement a

# Li3NbS4 | the Materials Project database | r2SCAN | optimized geometry
data_Li3NbS4
_symmetry_space_group_name_H-M 'P 1'
_symmetry_Int_Tables_number 1
_cell_length_a 8.930
_cell_length_b 8.930
_cell_length_c 8.930
_cell_angle_alpha 109.47
_cell_angle_beta 109.47
_cell_angle_gamma 109.47
loop_
_symmetry_equiv_pos_as_xyz
'x,y,z'
loop_
_atom_site_label
_atom_site_type_symbol
_atom_site_fract_x
_atom_site_fract_y
_atom_site_fract_z
Li1 Li 0.000 0.499 0.238
Li2 Li 0.499 0.000 0.238
Li3 Li 0.762 0.262 0.762
Li4 Li 0.738 0.501 0.501
Li5 Li 0.762 0.762 0.262
Li6 Li 0.238 0.499 0.000
Li7 Li 0.501 0.501 0.738
Li8 Li 0.499 0.238 0.000
Li9 Li 0.000 0.238 0.499
Li10 Li 0.501 0.738 0.501
Li11 Li 0.238 0.000 0.499
Li12 Li 0.262 0.762 0.762
Nb1 Nb 0.718 0.000 0.000
Nb2 Nb 0.282 0.282 0.282
Nb3 Nb 0.000 0.718 0.000
Nb4 Nb 0.000 0.000 0.718
S1 S 0.758 0.244 0.244
S2 S 0.756 0.514 0.000
S3 S 0.229 0.000 0.000
S4 S 0.000 0.229 0.000
S5 S 0.000 0.000 0.229
S6 S 0.486 0.486 0.242
S7 S 0.486 0.242 0.486
S8 S 0.514 0.000 0.756
S9 S 0.000 0.514 0.756
S10 S 0.242 0.486 0.486
S11 S 0.244 0.758 0.244
S12 S 0.756 0.000 0.514
S13 S 0.244 0.244 0.758
S14 S 0.771 0.771 0.771
S15 S 0.514 0.756 0.000
S16 S 0.000 0.756 0.514
# - total moment (μB/f.u.) = 0.000
# - space group = I-43m (217)

Arrangement b

# Li3NbS4 | the Materials Project database | r2SCAN | optimized geometry
data_Li3NbS4
_symmetry_space_group_name_H-M 'P 1'
_symmetry_Int_Tables_number 1
_cell_length_a 6.050
_cell_length_b 6.050
_cell_length_c 6.050
_cell_angle_alpha 90.00
_cell_angle_beta 90.00
_cell_angle_gamma 90.00
loop_
_symmetry_equiv_pos_as_xyz
'x,y,z'
loop_
_atom_site_label
_atom_site_type_symbol
_atom_site_fract_x
_atom_site_fract_y
_atom_site_fract_z
Li1 Li 0.000 0.000 0.500
Li2 Li 0.000 0.500 0.000
Li3 Li 0.500 0.000 0.000
Nb1 Nb 0.000 0.000 0.000
S1 S 0.218 0.218 0.218
S2 S 0.218 0.782 0.782
S3 S 0.782 0.218 0.782
S4 S 0.782 0.782 0.218
# - total moment (μB/f.u.) = 0.000
# - space group = P-43m (215)

What should be chosen as the least stable of them? Choose arrangement b.